No. 1
First-principles (meta-GGA r2SCAN) data for crystalline Lu3SbO7 at its relaxed geometry, as listed in Materials Project.

The calculated total energy is -19.87 eV per atom.

Cell lengths 7.2844, 10.2468, 7.2881 Å; angles 90.00, 90.00, 90.00 degrees
Space group C222_1 (No. 20)
Unique sites:
1 Lu 0.0112 0.0000 0.0000 [4 per cell]
2 Lu 0.2337 0.2651 0.7525 [8 per cell]
3 Sb 0.9997 0.5000 0.0000 [4 per cell]
4 O 0.0000 0.1303 0.2500 [4 per cell]
5 O 0.0000 0.1386 0.7500 [4 per cell]
6 O 0.0000 0.4256 0.7500 [4 per cell]
7 O 0.1955 0.3723 0.0344 [8 per cell]
8 O 0.2033 0.3752 0.4701 [8 per cell]


No. 2
First-principles (meta-GGA r2SCAN) data for crystalline Lu3Sb5O12 at its relaxed geometry, as listed in Materials Project.

The calculated total energy is -18.21 eV per atom.

Cell lengths 10.5912, 10.5912, 10.5912 Å; angles 90.00, 90.00, 90.00 degrees
Space group I-43m (No. 217)
Unique sites:
1 Lu 0.0000 0.2500 0.5000 [12 per cell]
2 Sb 0.0000 0.0000 0.2823 [12 per cell]
3 Sb 0.2395 0.2395 0.2395 [8 per cell]
4 O 0.1002 0.3982 0.6018 [24 per cell]
5 O 0.1395 0.1395 0.6581 [24 per cell]


No. 3
First-principles (meta-GGA r2SCAN) data for crystalline Lu2SeO2 at its relaxed geometry, as listed in Materials Project.

The calculated total energy is -23.98 eV per atom.

Cell lengths 3.7161, 3.7161, 6.6468 Å; angles 90.00, 90.00, 120.00 degrees
Space group P-3m1 (No. 164)
Unique sites:
1 Lu 0.3333 0.6667 0.2932 [2 per cell]
2 Se 0.0000 0.0000 0.0000 [1 per cell]
3 O 0.3333 0.6667 0.6251 [2 per cell]


No. 4
First-principles (meta-GGA r2SCAN) data for crystalline Lu2Si2O7 at its relaxed geometry, as listed in Materials Project.

The calculated total energy is -15.91 eV per atom.

Cell lengths 6.7075, 8.7625, 4.7128 Å; angles 90.00, 102.20, 90.00 degrees
Space group C2/m (No. 12)
Unique sites:
1 Lu 0.0000 0.1922 0.0000 [4 per cell]
2 Si 0.2210 0.5000 0.4108 [4 per cell]
3 O 0.0000 0.5000 0.5000 [2 per cell]
4 O 0.1132 0.0000 0.2833 [4 per cell]
5 O 0.2364 0.3472 0.2181 [8 per cell]


Which value of calculated total energy does entry 4 give? -15.91 eV per atom